First-principles (PBE with a Hubbard U) data for a relaxed CoPH3O4 crystal, as listed in Materials Project.

Results
ρ in Mg/m³: 2.8
Total magnetization in μB per formula unit: 3.00
Corrected total energy (MP2020 scheme) in eV per atom: -6.33
Crystal system: orthorhombic
Symmetry: No. 29
Volume in Å³ per cell: 737.1

Cell: 7.9723 9.0501 10.2166 Å, 90.00 90.00 90.00°
With the nearest neighbours (Å) after each atom.
Sites, in units of the cell vectors:
Co 0.8781 0.5924 0.0786  6 O 2.07-2.19
Co 0.1219 0.4076 0.5786  6 O 2.07-2.19
Co 0.8781 0.9076 0.5786  6 O 2.07-2.19
Co 0.1219 0.0924 0.0786  6 O 2.07-2.19
Co 0.1260 0.4058 0.9369  6 O 2.06-2.19
Co 0.8740 0.5942 0.4369  6 O 2.06-2.19
Co 0.1260 0.0942 0.4369  6 O 2.06-2.19
Co 0.8740 0.9058 0.9369  6 O 2.06-2.19
P 0.2361 0.7462 0.9762  1 H 1.41, 3 O 1.53-1.55
P 0.7639 0.2538 0.4762  1 H 1.41, 3 O 1.53-1.55
P 0.2361 0.7538 0.4762  1 H 1.41, 3 O 1.53-1.55
P 0.7639 0.2462 0.9762  1 H 1.41, 3 O 1.53-1.55
P 0.8660 0.5933 0.7560  1 H 1.40, 3 O 1.54-1.56
P 0.1340 0.4067 0.2560  1 H 1.40, 3 O 1.54-1.56
P 0.8660 0.9067 0.2560  1 H 1.40, 3 O 1.54-1.56
P 0.1340 0.0933 0.7560  1 H 1.40, 3 O 1.54-1.56
H 0.2635 0.7208 0.8420  1 P 1.41
H 0.7365 0.2792 0.3420  1 P 1.41
H 0.2635 0.7792 0.3420  1 P 1.41
H 0.7365 0.2208 0.8420  1 P 1.41
H 0.7335 0.4917 0.7541  1 P 1.40
H 0.2665 0.5083 0.2541  1 P 1.40
H 0.7335 0.0083 0.2541  1 P 1.40
H 0.2665 0.9917 0.7541  1 P 1.40
H 0.5364 0.6249 0.0944  1 O 1.00
H 0.4636 0.3751 0.5944  1 O 1.00
H 0.5364 0.8751 0.5944  1 O 1.00
H 0.4636 0.1249 0.0944  1 O 1.00
H 0.5927 0.4519 0.1029  1 O 1.00
H 0.4073 0.5481 0.6029  1 O 1.00
H 0.5927 0.0481 0.6029  1 O 1.00
H 0.4073 0.9519 0.1029  1 O 1.00
H 0.4493 0.3606 0.9359  1 O 0.99
H 0.5507 0.6394 0.4359  1 O 0.99
H 0.4493 0.1394 0.4359  1 O 0.99
H 0.5507 0.8606 0.9359  1 O 0.99
H 0.6071 0.5629 0.2988  1 O 1.00
H 0.3929 0.4371 0.7988  1 O 1.00
H 0.6071 0.9371 0.7988  1 O 1.00
H 0.3929 0.0629 0.2988  1 O 1.00
O 0.6189 0.5540 0.1335  2 H 1.00
O 0.3811 0.4460 0.6335  2 H 1.00
O 0.6189 0.9460 0.6335  2 H 1.00
O 0.3811 0.0540 0.1335  2 H 1.00
O 0.3765 0.4366 0.8956  2 H 0.99-1.00
O 0.6235 0.5634 0.3956  2 H 0.99-1.00
O 0.3765 0.0634 0.3956  2 H 0.99-1.00
O 0.6235 0.9366 0.8956  2 H 0.99-1.00
O 0.1366 0.6121 0.0295  1 P 1.55
O 0.8634 0.3879 0.5295  1 P 1.55
O 0.1366 0.8879 0.5295  1 P 1.55
O 0.8634 0.1121 0.0295  1 P 1.55
O 0.4066 0.7693 0.0428  1 P 1.53
O 0.5934 0.2307 0.5428  1 P 1.53
O 0.4066 0.7307 0.5428  1 P 1.53
O 0.5934 0.2693 0.0428  1 P 1.53
O 0.8716 0.3888 0.9828  1 P 1.55
O 0.1284 0.6112 0.4828  1 P 1.55
O 0.8716 0.1112 0.4828  1 P 1.55
O 0.1284 0.8888 0.9828  1 P 1.55
O 0.8457 0.6856 0.8822  1 P 1.54
O 0.1543 0.3144 0.3822  1 P 1.54
O 0.8457 0.8144 0.3822  1 P 1.54
O 0.1543 0.1856 0.8822  1 P 1.54
O 0.8426 0.8105 0.1323  1 P 1.55
O 0.1574 0.1895 0.6323  1 P 1.55
O 0.8426 0.6895 0.6323  1 P 1.55
O 0.1574 0.3105 0.1323  1 P 1.55
O 0.9666 0.4953 0.2547  1 P 1.56
O 0.0334 0.5047 0.7547  1 P 1.56
O 0.9666 0.0047 0.7547  1 P 1.56
O 0.0334 0.9953 0.2547  1 P 1.56